No. 1
DFT (PBE) results for a relaxed structure of LuPtF7.

- Crystal system: monoclinic
- DFT formation energy: -2914 meV/atom
- Total energy after the MP2020 corrections: -5.58 eV/atom
- Symmetry: P2_1/c (14)

Cell lengths 5.454, 8.780, 11.845 Å; angles 62.59, 90.00, 90.00 degrees
Positions (direct):
Lu 0.263 0.817 0.263
F 0.937 0.280 0.046
F 0.437 0.720 0.454
F 0.232 0.525 0.859
Pt 0.259 0.273 0.458
F 0.962 0.271 0.364
F 0.262 0.021 0.553
F 0.768 0.475 0.141
F 0.462 0.729 0.136
F 0.538 0.271 0.864
F 0.762 0.979 0.947
F 0.545 0.742 0.677
Pt 0.241 0.273 0.958
F 0.238 0.021 0.053
F 0.590 0.969 0.232
F 0.038 0.729 0.636
F 0.910 0.969 0.732
Pt 0.741 0.727 0.542
F 0.442 0.292 0.089
F 0.455 0.258 0.323
F 0.045 0.258 0.823
Lu 0.763 0.183 0.237
F 0.558 0.708 0.911
F 0.090 0.031 0.268
F 0.942 0.708 0.411
F 0.563 0.280 0.546
F 0.738 0.979 0.447
F 0.410 0.031 0.768
F 0.058 0.292 0.589
Lu 0.237 0.817 0.763
Lu 0.737 0.183 0.737
F 0.268 0.525 0.359
F 0.063 0.720 0.954
F 0.732 0.475 0.641
Pt 0.759 0.727 0.042
F 0.955 0.742 0.177

No. 2
DFT (PBE) results for a relaxed structure of NaTbP4O12.

- Crystal system: monoclinic
- Spin magnetization: 0.0 μB per formula unit
- DFT formation energy: -2908 meV/atom
- Total energy after the MP2020 corrections: -7.74 eV/atom
- Symmetry: P2_1/c (14)

Cell lengths 13.194, 7.252, 12.182 Å; angles 54.02, 90.00, 90.00 degrees
Positions (direct):
P 0.615 0.887 0.737
P 0.409 0.568 0.200
O 0.419 0.293 0.293
O 0.290 0.328 0.895
P 0.872 0.656 0.697
P 0.372 0.344 0.803
O 0.888 0.367 0.205
O 0.166 0.796 0.298
P 0.398 0.006 0.744
O 0.013 0.075 0.708
P 0.385 0.113 0.263
P 0.091 0.568 0.700
O 0.666 0.204 0.202
O 0.388 0.633 0.295
P 0.602 0.994 0.256
O 0.021 0.353 0.364
O 0.521 0.647 0.136
O 0.112 0.633 0.795
O 0.391 0.193 0.595
O 0.311 0.220 0.148
O 0.866 0.477 0.847
Na 0.222 0.936 0.063
O 0.689 0.780 0.852
P 0.898 0.994 0.756
O 0.875 0.906 0.664
O 0.513 0.925 0.792
O 0.634 0.477 0.347
O 0.338 0.654 0.083
Tb 0.781 0.465 0.023
P 0.102 0.006 0.244
Na 0.778 0.064 0.937
O 0.147 0.901 0.897
O 0.987 0.925 0.292
O 0.612 0.367 0.705
O 0.834 0.204 0.702
O 0.853 0.099 0.103
O 0.919 0.707 0.207
O 0.109 0.193 0.095
P 0.885 0.887 0.237
O 0.790 0.672 0.605
Tb 0.719 0.465 0.523
O 0.375 0.094 0.836
O 0.366 0.523 0.653
O 0.838 0.346 0.417
Tb 0.219 0.535 0.977
P 0.909 0.432 0.300
O 0.210 0.328 0.395
O 0.334 0.796 0.798
O 0.710 0.672 0.105
O 0.581 0.707 0.707
O 0.662 0.346 0.917
O 0.189 0.220 0.648
Na 0.722 0.064 0.437
O 0.125 0.094 0.336
O 0.811 0.780 0.352
O 0.081 0.293 0.793
O 0.134 0.523 0.153
P 0.591 0.432 0.800
P 0.128 0.344 0.303
Na 0.278 0.936 0.563
O 0.479 0.353 0.864
O 0.647 0.099 0.603
O 0.625 0.906 0.164
O 0.979 0.647 0.636
P 0.115 0.113 0.763
O 0.487 0.075 0.208
Tb 0.281 0.535 0.477
O 0.609 0.807 0.405
O 0.891 0.807 0.905
O 0.162 0.654 0.583
P 0.628 0.656 0.197
O 0.353 0.901 0.397